First-principles (PBE-GGA) data for a relaxed Ca3In2Si3O12 crystal, as listed in the Materials Project database.

Summary:
- Crystal system: cubic
- Energy relative to the elements: -3.077 eV/atom

a b c (Å): 12.4719 12.4719 12.4719
angles (deg): 90.00 90.00 90.00
Space group Ia-3d (No. 230)
Asymmetric unit:
Ca: 0.0000 0.2500 0.1250 [24 per cell]
In: 0.0000 0.0000 0.0000 [16 per cell]
Si: 0.0000 0.2500 0.3750 [24 per cell]
O: 0.0402 0.0527 0.6614 [96 per cell]